1.
## Sr2MnSO3 (PBE with a Hubbard U)

Data for crystalline Sr2MnSO3 at its relaxed geometry.

Summary:
Energy with MP2020 corrections (eV for the cell shown): -96.50
Formation energy from the elements (eV per formula unit): -16.7

Unit cell a=4.0040 b=4.0040 c=14.5961 alpha=90.00 beta=90.00 gamma=90.00
Atoms (fractional coordinates):
O1 0.5000 0.0000 0.5757
O2 0.0000 0.0000 0.2875
O3 0.5000 0.5000 0.2875
O4 0.0000 0.0000 0.7125
O5 0.5000 0.5000 0.7125
O6 0.0000 0.5000 0.4243
Mn1 0.5000 0.0000 0.7079
Mn2 0.0000 0.5000 0.2921
Sr1 0.0000 0.5000 0.5914
Sr2 0.0000 0.5000 0.8355
Sr3 0.5000 0.0000 0.4086
Sr4 0.5000 0.0000 0.1645
S1 0.5000 0.0000 0.8827
S2 0.0000 0.5000 0.1173

***

2.
## Li2VPO4F (PBE with a Hubbard U)

Data for crystalline Li2VPO4F at its relaxed geometry.

Summary:
Energy above the lowest structure with this stoichiometry (eV/atom): 0.020
Energy with MP2020 corrections (eV for the cell shown): -258.23
Formation energy from the elements (eV per formula unit): -24.5
Largest piezoelectric modulus (C/m2): 0.6

Unit cell a=7.3638 b=8.0060 c=7.4527 alpha=89.89 beta=63.64 gamma=89.88
Atoms (fractional coordinates):
F1 0.5298 0.3602 0.7498
F2 0.9790 0.1264 0.2725
F3 0.4791 0.6265 0.2724
F4 0.0297 0.8602 0.7499
P1 0.0117 0.3600 0.7673
P2 0.9835 0.6395 0.2614
P3 0.4834 0.1396 0.2615
P4 0.5117 0.8600 0.7672
O1 0.8284 0.4994 0.3682
O2 0.6721 0.9978 0.6548
O3 0.8186 0.4579 0.9042
O4 0.5239 0.2382 0.4197
O5 0.6818 0.0564 0.1008
O6 0.9550 0.2447 0.6320
O7 0.0239 0.7381 0.4197
O8 0.3186 0.9578 0.9042
O9 0.3283 0.9994 0.3684
O10 0.5996 0.7468 0.8811
O11 0.9085 0.7588 0.1425
O12 0.0996 0.2469 0.8812
O13 0.4552 0.7447 0.6316
O14 0.1721 0.4978 0.6549
O15 0.4085 0.2588 0.1425
O16 0.1819 0.5565 0.1007
V1 0.4994 0.5029 0.0134
V2 0.9993 0.0029 0.0136
V3 0.5028 0.4967 0.5087
V4 0.0027 0.9966 0.5088
Li1 0.8827 0.6637 0.7087
Li2 0.6613 0.1727 0.8631
Li3 0.7836 0.2687 0.4711
Li4 0.1613 0.6727 0.8630
Li5 0.1486 0.3074 0.1220
Li6 0.3827 0.1638 0.7087
Li7 0.2836 0.7687 0.4711
Li8 0.6486 0.8074 0.1220

***

3.
## MgV4O7F5 (PBE with a Hubbard U)

Data for crystalline MgV4O7F5 at its relaxed geometry.

Summary:
Energy above the lowest structure with this stoichiometry (eV/atom): 0.056
Energy with MP2020 corrections (eV for the cell shown): -127.49
Formation energy from the elements (eV per formula unit): -45.3

Unit cell a=5.0776 b=7.7278 c=5.2447 alpha=94.30 beta=89.36 gamma=90.02
Atoms (fractional coordinates):
V1 0.9763 0.0077 0.0306
V2 0.0100 0.4890 0.0039
V3 0.5005 0.0104 0.5306
V4 0.4918 0.4856 0.4661
F1 0.3750 0.7443 0.4864
F2 0.7045 0.5680 0.7841
F3 0.8823 0.2508 0.9971
F4 0.0981 0.7535 0.9793
F5 0.6211 0.2555 0.5149
O1 0.2921 0.0450 0.7806
O2 0.8290 0.5590 0.2999
O3 0.1930 0.4741 0.7068
O4 0.8150 0.9403 0.6941
O5 0.7017 0.9581 0.1963
O6 0.1993 0.0411 0.2714
O7 0.3190 0.4401 0.1957
Mg1 0.9913 0.7184 0.5873

***

4.
## MgCo2Si4O12 (PBE with a Hubbard U)

Data for crystalline MgCo2Si4O12 at its relaxed geometry.

Summary:
Energy above the lowest structure with this stoichiometry (eV/atom): 0.000
Energy with MP2020 corrections (eV for the cell shown): -146.93
Formation energy from the elements (eV per formula unit): -50.0

Unit cell a=5.3462 b=6.4765 c=6.6104 alpha=83.09 beta=74.51 gamma=75.38
Atoms (fractional coordinates):
O1 0.6711 0.6334 0.1201
O2 0.4266 0.3774 0.3392
O3 0.8458 0.8754 0.3695
O4 0.6424 0.9607 0.8058
O5 0.9452 0.3509 0.3577
O6 0.0638 0.6579 0.6348
O7 0.5544 0.6377 0.6454
O8 0.3512 0.0229 0.2091
O9 0.2100 0.0902 0.6206
O10 0.2779 0.3808 0.9108
O11 0.1580 0.7932 0.9774
O12 0.8442 0.1918 0.0414
Mg1 0.2503 0.7265 0.2715
Si1 0.2314 0.2030 0.3904
Si2 0.7606 0.7947 0.6156
Si3 0.2638 0.6163 0.7942
Si4 0.7393 0.3832 0.2075
Co1 0.2621 0.1074 0.8919
Co2 0.7518 0.9152 0.0889